Density functional theory data (PBE) for a relaxed structure of UPb.

The structure belongs to space group P4/mmm (No. 123); the cell edges are 3.482, 3.482 and 4.542 Å and the angles 90.00°, 90.00° and 90.00°. The asymmetric unit holds U at (0.000, 0.000, 0.000) and Pb at (0.500, 0.500, 0.500).

As for the formation energy: 0.343 eV/atom.